(1)
# Al4CrNi15 (r²SCAN, relaxed)
data_Al4CrNi15
_space_group_name_H-M_alt 'P 4/m m m'
_space_group_IT_number 123
_space_group_name_Hall '-P 4 2'
_cell_length_a 3.5198
_cell_length_b 3.5198
_cell_length_c 17.6357
_cell_angle_alpha 90.00
_cell_angle_beta 90.00
_cell_angle_gamma 90.00
loop_
_atom_site_label
_atom_site_type_symbol
_atom_site_fract_x
_atom_site_fract_y
_atom_site_fract_z
Al1 Al 0.0000 0.0000 0.1000
Al2 Al 0.0000 0.0000 0.2993
Cr1 Cr 0.0000 0.0000 0.5000
Ni1 Ni 0.0000 0.5000 0.0000
Ni2 Ni 0.0000 0.5000 0.2004
Ni3 Ni 0.0000 0.5000 0.4009
Ni4 Ni 0.5000 0.5000 0.1007
Ni5 Ni 0.5000 0.5000 0.3007
Ni6 Ni 0.5000 0.5000 0.5000
# **Uncorrected energy**: -11.426 eV per atom
# **Theoretical density**: 7.9 g cm⁻³

(2)
# SmCdAg2 (r²SCAN, relaxed)
data_SmCdAg2
_space_group_name_H-M_alt 'F m -3 m'
_space_group_IT_number 225
_space_group_name_Hall '-F 4 2 3'
_cell_length_a 7.0261
_cell_length_b 7.0261
_cell_length_c 7.0261
_cell_angle_alpha 90.00
_cell_angle_beta 90.00
_cell_angle_gamma 90.00
loop_
_atom_site_label
_atom_site_type_symbol
_atom_site_fract_x
_atom_site_fract_y
_atom_site_fract_z
Sm1 Sm 0.0000 0.0000 0.0000
Cd1 Cd 0.0000 0.0000 0.5000
Ag1 Ag 0.2500 0.2500 0.2500
# **Uncorrected energy**: -23.424 eV per atom
# **Theoretical density**: 9.2 g cm⁻³

(3)
# SmYS2 (r²SCAN, relaxed)
data_SmYS2
_space_group_name_H-M_alt 'R -3 m'
_space_group_IT_number 166
_space_group_name_Hall '-R 3 2"'
_cell_length_a 3.9424
_cell_length_b 3.9424
_cell_length_c 19.5046
_cell_angle_alpha 90.00
_cell_angle_beta 90.00
_cell_angle_gamma 120.00
loop_
_atom_site_label
_atom_site_type_symbol
_atom_site_fract_x
_atom_site_fract_y
_atom_site_fract_z
Sm1 Sm 0.0000 0.0000 0.0000
Y1 Y 0.0000 0.0000 0.5000
S1 S 0.0000 0.0000 0.2466
# **Uncorrected energy**: -18.801 eV per atom
# **Theoretical density**: 5.8 g cm⁻³

(4)
# Cs2MnF6 (r²SCAN, relaxed)
data_Cs2MnF6
_space_group_name_H-M_alt 'F m -3 m'
_space_group_IT_number 225
_space_group_name_Hall '-F 4 2 3'
_cell_length_a 8.9083
_cell_length_b 8.9083
_cell_length_c 8.9083
_cell_angle_alpha 90.00
_cell_angle_beta 90.00
_cell_angle_gamma 90.00
loop_
_atom_site_label
_atom_site_type_symbol
_atom_site_fract_x
_atom_site_fract_y
_atom_site_fract_z
Cs1 Cs 0.2500 0.2500 0.2500
Mn1 Mn 0.0000 0.0000 0.0000
F1 F 0.0000 0.0000 0.2041
# **Uncorrected energy**: -12.288 eV per atom
# **Theoretical density**: 4.1 g cm⁻³

(5)
# Na5SnAs3 (r²SCAN, relaxed)
data_Na5SnAs3
_space_group_name_H-M_alt 'P 1 21/c 1'
_space_group_IT_number 14
_cell_length_a 8.5097
_cell_length_b 7.6028
_cell_length_c 15.9563
_cell_angle_alpha 90.00
_cell_angle_beta 121.69
_cell_angle_gamma 90.00
loop_
_space_group_symop_operation_xyz
'x,y,z'
'-x,-y,-z'
'-x,y+1/2,-z+1/2'
'x,-y+1/2,z+1/2'
loop_
_atom_site_label
_atom_site_type_symbol
_atom_site_fract_x
_atom_site_fract_y
_atom_site_fract_z
Na1 Na 0.0067 0.1592 0.0823
Na2 Na 0.0920 0.0047 0.7588
Na3 Na 0.2531 0.5239 0.0865
Na4 Na 0.3135 0.6412 0.7431
Na5 Na 0.4116 0.0414 0.0891
Sn1 Sn 0.3387 0.1476 0.4096
As1 As 0.0595 0.2308 0.9172
As2 As 0.3308 0.7063 0.9285
As3 As 0.3629 0.2468 0.2607
# **Uncorrected energy**: -10.190 eV per atom
# **Theoretical density**: 3.5 g cm⁻³

(6)
# Sr2Ti6O13 (r²SCAN, relaxed)
data_Sr2Ti6O13
_space_group_name_H-M_alt 'C 1 2/m 1'
_space_group_IT_number 12
_cell_length_a 14.6368
_cell_length_b 3.9030
_cell_length_c 9.1241
_cell_angle_alpha 90.00
_cell_angle_beta 97.93
_cell_angle_gamma 90.00
loop_
_space_group_symop_operation_xyz
'x,y,z'
'-x,-y,-z'
'-x,y,-z'
'x,-y,z'
'x+1/2,y+1/2,z'
'-x+1/2,-y+1/2,-z'
'-x+1/2,y+1/2,-z'
'x+1/2,-y+1/2,z'
loop_
_atom_site_label
_atom_site_type_symbol
_atom_site_fract_x
_atom_site_fract_y
_atom_site_fract_z
Sr1 Sr 0.0510 0.0000 0.2839
Ti1 Ti 0.1215 0.5000 0.6004
Ti2 Ti 0.1645 0.5000 0.9441
Ti3 Ti 0.2452 0.5000 0.2726
O1 O 0.0000 0.5000 0.5000
O2 O 0.0648 0.5000 0.8006
O3 O 0.1251 0.0000 0.6144
O4 O 0.1253 0.5000 0.1228
O5 O 0.1695 0.5000 0.4166
O6 O 0.1982 0.0000 0.9315
O7 O 0.2422 0.5000 0.7498
# **Uncorrected energy**: -12.173 eV per atom
# **Theoretical density**: 4.3 g cm⁻³

(7)
# LaCePd6 (r²SCAN, relaxed)
data_LaCePd6
_space_group_name_H-M_alt 'P 4/m m m'
_space_group_IT_number 123
_space_group_name_Hall '-P 4 2'
_cell_length_a 4.1709
_cell_length_b 4.1709
_cell_length_c 8.3165
_cell_angle_alpha 90.00
_cell_angle_beta 90.00
_cell_angle_gamma 90.00
loop_
_atom_site_label
_atom_site_type_symbol
_atom_site_fract_x
_atom_site_fract_y
_atom_site_fract_z
La1 La 0.0000 0.0000 0.0000
Ce1 Ce 0.0000 0.0000 0.5000
Pd1 Pd 0.0000 0.5000 0.2584
Pd2 Pd 0.5000 0.5000 0.0000
Pd3 Pd 0.5000 0.5000 0.5000
# **Uncorrected energy**: -25.628 eV per atom
# **Theoretical density**: 10.5 g cm⁻³

(8)
# Lu2SO2 (r²SCAN, relaxed)
data_Lu2SO2
_space_group_name_H-M_alt 'P -3 m 1'
_space_group_IT_number 164
_space_group_name_Hall '-P 3 2"'
_cell_length_a 3.6729
_cell_length_b 3.6729
_cell_length_c 6.4396
_cell_angle_alpha 90.00
_cell_angle_beta 90.00
_cell_angle_gamma 120.00
loop_
_atom_site_label
_atom_site_type_symbol
_atom_site_fract_x
_atom_site_fract_y
_atom_site_fract_z
Lu1 Lu 0.3333 0.6667 0.2845
S1 S 0.0000 0.0000 0.0000
O1 O 0.3333 0.6667 0.6293
# **Uncorrected energy**: -22.831 eV per atom
# **Theoretical density**: 9.1 g cm⁻³

(9)
# ThCu6 (r²SCAN, relaxed)
data_ThCu6
_space_group_name_H-M_alt 'P n m a'
_space_group_IT_number 62
_cell_length_a 8.0255
_cell_length_b 5.0401
_cell_length_c 10.0729
_cell_angle_alpha 90.00
_cell_angle_beta 90.00
_cell_angle_gamma 90.00
loop_
_space_group_symop_operation_xyz
'x,y,z'
'-x,-y,-z'
'-x+1/2,-y,z+1/2'
'x+1/2,y,-z+1/2'
'x+1/2,-y+1/2,-z+1/2'
'-x+1/2,y+1/2,z+1/2'
'-x,y+1/2,-z'
'x,-y+1/2,z'
loop_
_atom_site_label
_atom_site_type_symbol
_atom_site_fract_x
_atom_site_fract_y
_atom_site_fract_z
Th1 Th 0.2393 0.2500 0.0656
Cu1 Cu 0.0616 0.7500 0.0998
Cu2 Cu 0.0647 0.0042 0.3099
Cu3 Cu 0.0991 0.2500 0.5153
Cu4 Cu 0.1454 0.7500 0.8593
Cu5 Cu 0.1819 0.2500 0.7553
# **Uncorrected energy**: -19.929 eV per atom
# **Theoretical density**: 10.0 g cm⁻³

(10)
# Be4AlNi (r²SCAN, relaxed)
data_Be4AlNi
_space_group_name_H-M_alt 'F -4 3 m'
_space_group_IT_number 216
_space_group_name_Hall 'F -4 2 3'
_cell_length_a 5.9987
_cell_length_b 5.9987
_cell_length_c 5.9987
_cell_angle_alpha 90.00
_cell_angle_beta 90.00
_cell_angle_gamma 90.00
loop_
_atom_site_label
_atom_site_type_symbol
_atom_site_fract_x
_atom_site_fract_y
_atom_site_fract_z
Be1 Be 0.1236 0.1236 0.1236
Al1 Al 0.0000 0.0000 0.5000
Ni1 Ni 0.2500 0.2500 0.7500
# **Uncorrected energy**: -6.318 eV per atom
# **Theoretical density**: 3.7 g cm⁻³

(11)
# Pr3Si6Pd20 (r²SCAN, relaxed)
data_Pr3Si6Pd20
_space_group_name_H-M_alt 'F m -3 m'
_space_group_IT_number 225
_space_group_name_Hall '-F 4 2 3'
_cell_length_a 12.3404
_cell_length_b 12.3404
_cell_length_c 12.3404
_cell_angle_alpha 90.00
_cell_angle_beta 90.00
_cell_angle_gamma 90.00
loop_
_atom_site_label
_atom_site_type_symbol
_atom_site_fract_x
_atom_site_fract_y
_atom_site_fract_z
Pr1 Pr 0.0000 0.0000 0.0000
Pr2 Pr 0.2500 0.2500 0.2500
Si1 Si 0.0000 0.0000 0.2671
Pd1 Pd 0.0000 0.1737 0.1737
Pd2 Pd 0.1141 0.1141 0.3859
# **Uncorrected energy**: -21.492 eV per atom
# **Theoretical density**: 9.6 g cm⁻³

(12)
# UAl2 (r²SCAN, relaxed)
data_UAl2
_space_group_name_H-M_alt 'P 63/m m c'
_space_group_IT_number 194
_space_group_name_Hall '-P 6c 2c'
_cell_length_a 5.5822
_cell_length_b 5.5822
_cell_length_c 16.9505
_cell_angle_alpha 90.00
_cell_angle_beta 90.00
_cell_angle_gamma 120.00
loop_
_atom_site_label
_atom_site_type_symbol
_atom_site_fract_x
_atom_site_fract_y
_atom_site_fract_z
U1 U 0.0000 0.0000 0.0832
U2 U 0.3333 0.6667 0.1756
Al1 Al 0.0000 0.5000 0.0000
Al2 Al 0.1582 0.3164 0.7500
Al3 Al 0.3333 0.6667 0.6279
# **Uncorrected energy**: -31.415 eV per atom
# **Theoretical density**: 8.5 g cm⁻³

(13)
# Ni2Mo3N (r²SCAN, relaxed)
data_Ni2Mo3N
_space_group_name_H-M_alt 'P 41 3 2'
_space_group_IT_number 213
_space_group_name_Hall 'P 4bd 2ab 3'
_cell_length_a 6.6138
_cell_length_b 6.6138
_cell_length_c 6.6138
_cell_angle_alpha 90.00
_cell_angle_beta 90.00
_cell_angle_gamma 90.00
loop_
_atom_site_label
_atom_site_type_symbol
_atom_site_fract_x
_atom_site_fract_y
_atom_site_fract_z
Ni1 Ni 0.0667 0.0667 0.0667
Mo1 Mo 0.0498 0.8750 0.7002
N1 N 0.1250 0.6250 0.8750
# **Uncorrected energy**: -18.833 eV per atom
# **Theoretical density**: 9.6 g cm⁻³

(14)
# ScPd3 (r²SCAN, relaxed)
data_ScPd3
_space_group_name_H-M_alt 'P m -3 m'
_space_group_IT_number 221
_space_group_name_Hall '-P 4 2 3'
_cell_length_a 3.9796
_cell_length_b 3.9796
_cell_length_c 3.9796
_cell_angle_alpha 90.00
_cell_angle_beta 90.00
_cell_angle_gamma 90.00
loop_
_atom_site_label
_atom_site_type_symbol
_atom_site_fract_x
_atom_site_fract_y
_atom_site_fract_z
Sc1 Sc 0.0000 0.0000 0.0000
Pd1 Pd 0.0000 0.5000 0.5000
# **Uncorrected energy**: -20.932 eV per atom
# **Theoretical density**: 9.6 g cm⁻³

(15)
# LuTlS2 (r²SCAN, relaxed)
data_LuTlS2
_space_group_name_H-M_alt 'R -3 m'
_space_group_IT_number 166
_space_group_name_Hall '-R 3 2"'
_cell_length_a 3.9199
_cell_length_b 3.9199
_cell_length_c 22.5047
_cell_angle_alpha 90.00
_cell_angle_beta 90.00
_cell_angle_gamma 120.00
loop_
_atom_site_label
_atom_site_type_symbol
_atom_site_fract_x
_atom_site_fract_y
_atom_site_fract_z
Lu1 Lu 0.0000 0.0000 0.0000
Tl1 Tl 0.0000 0.0000 0.5000
S1 S 0.0000 0.0000 0.2689
# **Uncorrected energy**: -28.537 eV per atom
# **Theoretical density**: 7.4 g cm⁻³

(16)
# PaHgO3 (r²SCAN, relaxed)
data_PaHgO3
_space_group_name_H-M_alt 'P m -3 m'
_space_group_IT_number 221
_space_group_name_Hall '-P 4 2 3'
_cell_length_a 4.3429
_cell_length_b 4.3429
_cell_length_c 4.3429
_cell_angle_alpha 90.00
_cell_angle_beta 90.00
_cell_angle_gamma 90.00
loop_
_atom_site_label
_atom_site_type_symbol
_atom_site_fract_x
_atom_site_fract_y
_atom_site_fract_z
Pa1 Pa 0.0000 0.0000 0.0000
Hg1 Hg 0.5000 0.5000 0.5000
O1 O 0.0000 0.0000 0.5000
# **Uncorrected energy**: -31.408 eV per atom
# **Theoretical density**: 9.7 g cm⁻³

(17)
# TlP5 (r²SCAN, relaxed)
data_TlP5
_space_group_name_H-M_alt 'P m c 21'
_space_group_IT_number 26
_cell_length_a 6.4995
_cell_length_b 7.1253
_cell_length_c 12.3055
_cell_angle_alpha 90.00
_cell_angle_beta 90.00
_cell_angle_gamma 90.00
loop_
_space_group_symop_operation_xyz
'x,y,z'
'-x,-y,z+1/2'
'-x,y,z'
'x,-y,z+1/2'
loop_
_atom_site_label
_atom_site_type_symbol
_atom_site_fract_x
_atom_site_fract_y
_atom_site_fract_z
Tl1 Tl 0.0000 0.0266 0.0000
Tl2 Tl 0.5000 0.2229 0.6592
P1 P 0.0000 0.3478 0.1703
P2 P 0.0000 0.3541 0.7017
P3 P 0.0000 0.3890 0.8742
P4 P 0.2466 0.4110 0.4177
P5 P 0.2500 0.2257 0.2683
P6 P 0.5000 0.1828 0.0192
P7 P 0.5000 0.3520 0.1673
P8 P 0.5000 0.3861 0.8885
# **Uncorrected energy**: -16.409 eV per atom
# **Theoretical density**: 4.2 g cm⁻³

| no. | M_tot (μB/f.u.) |
| --- | --- |
| 1 | 1.6 |
| 2 | 0.0 |
| 3 | 0.0 |
| 4 | 3.0 |
| 5 | 0.0 |
| 6 | 1.3 |
| 7 | 0.1 |
| 8 | 0.0 |
| 9 | 0.0 |
| 10 | 0.0 |
| 11 | 0.0 |
| 12 | 1.8 |
| 13 | 0.0 |
| 14 | 0.0 |
| 15 | 0.0 |
| 16 | 0.0 |
| 17 | 0.0 |